{
  "formula": "Li2Sn2Au",
  "functional": "GGA-PBE",
  "state": "optimized geometry",
  "vol_a3_per_cell": 213.8,
  "formation_enthalpy_0k_ev_per_atom": -0.444,
  "lattice": [[-2.3174, 2.3174, 9.9502], [2.3174, -2.3174, 9.9502], [2.3174, 2.3174, -9.9502]],
  "species": ["Li", "Li", "Li", "Li", "Sn", "Sn", "Sn", "Sn", "Au", "Au"],
  "frac_coords": [[0.0506, 0.3006, 0.7500], [0.3006, 0.0506, 0.2500], [0.6994, 0.9494, 0.7500], [0.9494, 0.6994, 0.2500], [0.2022, 0.4522, 0.7500], [0.4522, 0.2022, 0.2500], [0.5478, 0.7978, 0.7500], [0.7978, 0.5478, 0.2500], [0.1250, 0.8750, 0.2500], [0.8750, 0.1250, 0.7500]]
}